## A
The following is a PBE calculation of a geometry-optimized MgBi2Sb2O8 structure, from Materials Project.

Geometry as POSCAR:
```
MgBi2Sb2O8
1.0
-4.5671 1.8457 -3.5035
-4.1081 -0.4896 4.2419
4.4966 4.9000 3.1134
Mg Bi Sb O
1 2 2 8
Direct
0.6116 0.9938 0.0456
0.7953 0.2904 0.5125
0.1461 0.7549 0.5140
0.0923 0.0211 0.0144
0.5051 0.4920 0.9831
0.8057 0.5277 0.2994
0.0094 0.9794 0.7105
0.1570 0.4785 0.7074
0.9159 0.0411 0.3345
0.3799 0.7859 0.1007
0.6152 0.7059 0.8663
0.6475 0.2195 0.8873
0.3813 0.2573 0.1042
```

total moment: 0.00 μB/f.u.

=====

## B
The following is a PBE calculation of a geometry-optimized MgBi2Sb2O8 structure, from Materials Project.

Geometry as POSCAR:
```
MgBi2Sb2O8
1.0
1.7062 -4.3099 -2.7894
-1.7267 -3.9509 4.4839
-5.9605 2.7680 -2.1874
Mg Bi Sb O
1 2 2 8
Direct
0.7064 0.8440 0.3487
0.7602 0.3539 0.4824
0.3106 0.7870 0.6288
0.9980 0.0116 0.0167
0.4884 0.4606 0.9835
0.8347 0.5408 0.2816
0.9496 0.8915 0.6843
0.2013 0.4681 0.6798
0.9106 0.0788 0.3361
0.3406 0.7253 0.1320
0.6614 0.7054 0.9041
0.6430 0.1935 0.8459
0.3452 0.2610 0.1059
```

total moment: 0.00 μB/f.u.

=====

From most stable to least stable, the computed energies give A, B.

=====

## A
The following is a PBE calculation of a geometry-optimized BaLaEuSbO6 structure, from Materials Project.

Geometry as POSCAR:
```
BaLaEuSbO6
1.0
-2.1073 4.6060 3.3393
-5.7078 -1.3731 -1.7191
-0.6948 -5.3101 6.7586
Ba La Eu Sb O
2 2 2 2 12
Direct
0.5057 0.5265 0.2503
0.4943 0.4735 0.7497
0.0000 0.5000 0.0000
0.5000 0.0000 0.5000
0.9911 0.0367 0.2527
0.0089 0.9633 0.7473
0.5000 0.0000 0.0000
0.0000 0.5000 0.5000
0.2368 0.1938 0.9472
0.2659 0.6967 0.5281
0.7632 0.8062 0.0528
0.7341 0.3033 0.4719
0.3030 0.7379 0.9587
0.1848 0.2285 0.5486
0.6970 0.2621 0.0413
0.8152 0.7715 0.4514
0.4034 0.9952 0.2276
0.0628 0.4539 0.2713
0.5966 0.0048 0.7724
0.9372 0.5461 0.7287
```

total moment: 7.00 μB/f.u.

=====

## B
The following is a PBE calculation of a geometry-optimized BaLaEuSbO6 structure, from Materials Project.

Geometry as POSCAR:
```
BaLaEuSbO6
1.0
-0.6264 -1.8456 -5.7884
-4.3190 2.4701 -3.5425
1.5679 3.7247 -4.5796
Ba La Eu Sb O
1 1 1 1 6
Direct
0.7500 0.7500 0.7500
0.0000 0.0000 0.0000
0.2500 0.2500 0.2500
0.5000 0.5000 0.5000
0.7257 0.2743 0.2743
0.2743 0.7257 0.7257
0.7257 0.2743 0.7257
0.2743 0.7257 0.2743
0.7257 0.7257 0.2743
0.2743 0.2743 0.7257
```

total moment: 7.00 μB/f.u.

=====

From most stable to least stable, the computed energies give A, B.

=====

## A
The following is a PBE calculation of a geometry-optimized USi2Au2 structure, from Materials Project.

Geometry as POSCAR:
```
USi2Au2
1.0
4.1948 0.0000 0.0000
0.0000 4.1948 0.0000
-2.0974 -2.0974 5.2943
U Si Au
1 2 2
Direct
0.0000 0.0000 0.0000
0.6084 0.6084 0.2169
0.3916 0.3916 0.7831
0.7500 0.2500 0.5000
0.2500 0.7500 0.5000
```

total moment: 2.59 μB/f.u.

=====

## B
The following is a PBE calculation of a geometry-optimized USi2Au2 structure, from Materials Project.

Geometry as POSCAR:
```
USi2Au2
1.0
4.3731 0.0000 0.0000
0.0000 4.3731 0.0000
0.0000 0.0000 9.9742
U Si Au
2 4 4
Direct
0.0000 0.5000 0.2566
0.5000 0.0000 0.7434
0.0000 0.0000 0.5000
0.5000 0.5000 0.5000
0.0000 0.5000 0.8650
0.5000 0.0000 0.1350
0.0000 0.0000 0.0000
0.5000 0.5000 0.0000
0.0000 0.5000 0.6234
0.5000 0.0000 0.3766
```

total moment: 2.63 μB/f.u.

=====

From most stable to least stable, the computed energies give A, B.

=====

## A
The following is a PBE calculation of a geometry-optimized AlSn3Se2ClO8 structure, from Materials Project.

Geometry as POSCAR:
```
AlSn3Se2ClO8
1.0
-1.8988 2.8480 6.1417
-5.7144 5.3979 -4.3022
-7.0597 -7.6369 -0.2106
Al Sn Se Cl O
2 6 4 2 16
Direct
0.7350 0.2501 0.2520
0.2660 0.7476 0.7455
0.0202 0.4681 0.9176
0.9369 0.5093 0.5072
0.9804 0.9658 0.0864
0.8623 0.8454 0.7704
0.1430 0.3447 0.2304
0.0629 0.0116 0.4939
0.5632 0.7585 0.0129
0.4355 0.2574 0.9849
0.5221 0.6944 0.5099
0.4797 0.1937 0.4892
0.9117 0.2930 0.7064
0.0763 0.7921 0.3062
0.9340 0.1533 0.1983
0.5910 0.3317 0.1168
0.4170 0.6511 0.6489
0.7396 0.6782 0.9384
0.2722 0.2888 0.4306
0.3797 0.0229 0.5166
0.0666 0.6528 0.8015
0.6688 0.9233 0.0761
0.7292 0.7890 0.5718
0.2601 0.1778 0.0617
0.8872 0.3848 0.3371
0.1149 0.8822 0.6607
0.3303 0.4214 0.9215
0.6213 0.5246 0.4796
0.4111 0.8317 0.8794
0.5817 0.1548 0.3482
```

total moment: 0.00 μB/f.u.

=====

## B
The following is a PBE calculation of a geometry-optimized AlSn3Se2ClO8 structure, from Materials Project.

Geometry as POSCAR:
```
AlSn3Se2ClO8
1.0
-8.0100 -3.0696 2.4719
3.0977 -5.6426 3.0800
1.4767 4.0571 9.7776
Al Sn Se Cl O
2 6 4 2 16
Direct
0.2470 0.2746 0.2504
0.7473 0.7249 0.7488
0.4650 0.9871 0.9017
0.5186 0.0750 0.4964
0.9642 0.0108 0.1001
0.8549 0.1147 0.7808
0.3552 0.8838 0.2207
0.0186 0.9261 0.5044
0.7516 0.4158 0.0042
0.2512 0.5838 0.9949
0.6962 0.4774 0.5275
0.1949 0.5227 0.4718
0.2973 0.0686 0.6823
0.7959 0.9383 0.3199
0.1582 0.0789 0.1938
0.3302 0.4274 0.1212
0.6396 0.5894 0.6545
0.6837 0.2388 0.9278
0.2791 0.7317 0.4022
0.0264 0.6140 0.5128
0.6586 0.9194 0.8072
0.9145 0.3192 0.0751
0.7795 0.2685 0.5994
0.1847 0.7606 0.0724
0.3872 0.1311 0.3339
0.8874 0.8686 0.6665
0.4143 0.6790 0.9243
0.5281 0.3871 0.4848
0.8308 0.5694 0.8770
0.1398 0.4131 0.3432
```

total moment: 0.00 μB/f.u.

=====

From most stable to least stable, the computed energies give B, A.